Record 1
# Li9Mn2Co5O16 PBE+U optimized geometry
# magnetization: 11.1 μB per formula unit
# E: -5.812 eV/atom
# MP2020-corrected energy: -6.5153 eV per atom
# distance to the lowest polymorph of the same formula: 1.38 eV/f.u.
# ΔE_f: -175.71 kJ/mol of atoms
data_Li9Mn2Co5O16
_symmetry_space_group_name_H-M 'P 1'
_symmetry_Int_Tables_number 1
_symmetry_space_group_name_Hall 'P 1'
_cell_length_a 5.8808
_cell_length_b 5.9175
_cell_length_c 8.0958
_cell_angle_alpha 90.35
_cell_angle_beta 90.98
_cell_angle_gamma 92.67
loop_
_atom_site_label
_atom_site_type_symbol
_atom_site_fract_x
_atom_site_fract_y
_atom_site_fract_z
Li1 Li 0.5000 0.0000 0.0000
Li2 Li 0.2562 0.7467 0.7389
Li3 Li 0.7437 0.7445 0.2617
Li4 Li 0.5000 0.5000 0.0000
Li5 Li 0.0000 0.5000 0.5000
Li6 Li 0.7438 0.2533 0.2611
Li7 Li 0.2563 0.2555 0.7383
Li8 Li 0.0000 0.0000 0.5000
Li9 Li 0.5000 0.5000 0.5000
Mn1 Mn 0.0000 0.0000 0.0000
Mn2 Mn 0.0000 0.5000 0.0000
Co1 Co 0.7409 0.7517 0.7445
Co2 Co 0.2591 0.2483 0.2555
Co3 Co 0.7422 0.2557 0.7423
Co4 Co 0.5000 0.0000 0.5000
Co5 Co 0.2578 0.7443 0.2577
O1 O 0.2402 0.2341 0.0105
O2 O 0.9847 0.9882 0.7635
O3 O 0.4889 0.9850 0.2643
O4 O 0.2247 0.7644 0.0093
O5 O 0.7285 0.7713 0.5175
O6 O 0.4779 0.4872 0.2435
O7 O 0.9894 0.4894 0.7594
O8 O 0.7420 0.2380 0.5155
O9 O 0.7598 0.7659 0.9895
O10 O 0.5221 0.5128 0.7565
O11 O 0.0106 0.5106 0.2406
O12 O 0.7753 0.2356 0.9907
O13 O 0.2715 0.2287 0.4825
O14 O 0.0153 0.0118 0.2365
O15 O 0.5111 0.0150 0.7357
O16 O 0.2580 0.7620 0.4845

=====

Record 2
# Na4Ni2C4SO16 PBE+U optimized geometry
# magnetization: 2.0 μB per formula unit
# E: -6.286 eV/atom
# MP2020-corrected energy: -6.8810 eV per atom
# ΔE_f: -174.10 kJ/mol of atoms
data_Na4Ni2C4SO16
_symmetry_space_group_name_H-M 'P 1'
_symmetry_Int_Tables_number 1
_symmetry_space_group_name_Hall 'P 1'
_cell_length_a 9.9332
_cell_length_b 9.9024
_cell_length_c 9.8171
_cell_angle_alpha 60.49
_cell_angle_beta 60.18
_cell_angle_gamma 59.33
loop_
_atom_site_label
_atom_site_type_symbol
_atom_site_fract_x
_atom_site_fract_y
_atom_site_fract_z
Na1 Na 0.2888 0.7112 0.7112
Na2 Na 0.7100 0.2900 0.7100
Na3 Na 0.9600 0.5400 0.9600
Na4 Na 0.5388 0.9612 0.9612
Na5 Na 0.7112 0.2888 0.2888
Na6 Na 0.2900 0.7100 0.2900
Na7 Na 0.5400 0.9600 0.5400
Na8 Na 0.9612 0.5388 0.5388
Ni1 Ni 0.1250 0.1250 0.6250
Ni2 Ni 0.1250 0.1250 0.1250
Ni3 Ni 0.1250 0.6250 0.1250
Ni4 Ni 0.6250 0.1250 0.1250
C1 C 0.3347 0.3376 0.9820
C2 C 0.9124 0.9153 0.9044
C3 C 0.3456 0.9820 0.3376
C4 C 0.9820 0.3456 0.3347
C5 C 0.2680 0.9044 0.9153
C6 C 0.9044 0.2680 0.9124
C7 C 0.3376 0.3347 0.3456
C8 C 0.9153 0.9124 0.2680
S1 S 0.7500 0.7500 0.7500
S2 S 0.5000 0.5000 0.5000
O1 O 0.3130 0.4811 0.9749
O2 O 0.9351 0.6850 0.6890
O3 O 0.2145 0.3149 0.9900
O4 O 0.9351 0.0355 0.7695
O5 O 0.4805 0.9900 0.3149
O6 O 0.0290 0.7713 0.9246
O7 O 0.6909 0.6890 0.6850
O8 O 0.6850 0.9351 0.6909
O9 O 0.9246 0.2752 0.0290
O10 O 0.9900 0.4805 0.2145
O11 O 0.7689 0.9370 0.0190
O12 O 0.6890 0.6909 0.9351
O13 O 0.2310 0.9749 0.4811
O14 O 0.9749 0.2310 0.3130
O15 O 0.4787 0.2210 0.9748
O16 O 0.2752 0.9246 0.7713
O17 O 0.9748 0.3254 0.4787
O18 O 0.7713 0.0290 0.2752
O19 O 0.2751 0.0190 0.9370
O20 O 0.0190 0.2751 0.7689
O21 O 0.5610 0.5591 0.3149
O22 O 0.4811 0.3130 0.2310
O23 O 0.2600 0.7695 0.0355
O24 O 0.3254 0.9748 0.2210
O25 O 0.5650 0.3149 0.5591
O26 O 0.5591 0.5610 0.5650
O27 O 0.2210 0.4787 0.3254
O28 O 0.7695 0.2600 0.9351
O29 O 0.3149 0.2145 0.4805
O30 O 0.0355 0.9351 0.2600
O31 O 0.3149 0.5650 0.5610
O32 O 0.9370 0.7689 0.2751

=====

Record 3
# Sm2Fe2O5 PBE+U optimized geometry
# magnetization: 8.0 μB per formula unit
# E: -7.486 eV/atom
# MP2020-corrected energy: -8.3687 eV per atom
# distance to the lowest polymorph of the same formula: 0.00 eV/f.u.
# ΔE_f: -259.45 kJ/mol of atoms
data_Sm2Fe2O5
_symmetry_space_group_name_H-M 'P 1'
_symmetry_Int_Tables_number 1
_symmetry_space_group_name_Hall 'P 1'
_cell_length_a 8.6820
_cell_length_b 8.6820
_cell_length_c 8.6820
_cell_angle_alpha 143.09
_cell_angle_beta 140.81
_cell_angle_gamma 54.93
loop_
_atom_site_label
_atom_site_type_symbol
_atom_site_fract_x
_atom_site_fract_y
_atom_site_fract_z
Sm1 Sm 0.9004 0.3739 0.5002
Sm2 Sm 0.0996 0.5998 0.4736
Sm3 Sm 0.3737 0.8739 0.4736
Sm4 Sm 0.6263 0.0998 0.5002
Fe1 Fe 0.0000 0.0066 0.0066
Fe2 Fe 0.5000 0.5066 0.0066
Fe3 Fe 0.7146 0.7246 0.9393
Fe4 Fe 0.2854 0.2246 0.0100
O1 O 0.2915 0.2746 0.5049
O2 O 0.7085 0.2134 0.9831
O3 O 0.2697 0.7746 0.9831
O4 O 0.7303 0.7134 0.5049
O5 O 0.9655 0.9275 0.1736
O6 O 0.0345 0.2082 0.9620
O7 O 0.2538 0.4275 0.9620
O8 O 0.7462 0.7082 0.1736
O9 O 0.6378 0.3353 0.4732
O10 O 0.3622 0.8353 0.6975

=====

Record 4
# MgCr4W2O12 PBE+U optimized geometry
# magnetization: 14.0 μB per formula unit
# E: -7.355 eV/atom
# MP2020-corrected energy: -8.6770 eV per atom
# distance to the lowest polymorph of the same formula: 3.16 eV/f.u.
# ΔE_f: -199.87 kJ/mol of atoms
data_MgCr4W2O12
_symmetry_space_group_name_H-M 'P 1'
_symmetry_Int_Tables_number 1
_symmetry_space_group_name_Hall 'P 1'
_cell_length_a 4.8243
_cell_length_b 4.8312
_cell_length_c 9.4988
_cell_angle_alpha 90.00
_cell_angle_beta 89.99
_cell_angle_gamma 94.14
loop_
_atom_site_label
_atom_site_type_symbol
_atom_site_fract_x
_atom_site_fract_y
_atom_site_fract_z
Mg1 Mg 0.3059 0.6905 0.0002
Cr1 Cr 0.0024 0.9986 0.3402
Cr2 Cr 0.5425 0.4589 0.1905
Cr3 Cr 0.5419 0.4581 0.8098
Cr4 Cr 0.0027 0.9974 0.6596
W1 W 0.9577 0.0418 0.9998
W2 W 0.4970 0.5035 0.5001
O1 O 0.3056 0.2958 0.9999
O2 O 0.2107 0.7902 0.4999
O3 O 0.7959 0.2043 0.5000
O4 O 0.7025 0.6945 0.0000
O5 O 0.6995 0.6905 0.6628
O6 O 0.3098 0.3006 0.6627
O7 O 0.7001 0.6906 0.3375
O8 O 0.1607 0.8393 0.1626
O9 O 0.8068 0.1931 0.1726
O10 O 0.8072 0.1930 0.8271
O11 O 0.3094 0.3017 0.3373
O12 O 0.1610 0.8383 0.8374

=====

Record 5
# LiMnO2 PBE+U optimized geometry
# magnetization: 0.0 μB per formula unit
# E: -6.620 eV/atom
# MP2020-corrected energy: -7.3807 eV per atom
# ΔE_f: -206.38 kJ/mol of atoms
data_LiMnO2
_symmetry_space_group_name_H-M 'P 1'
_symmetry_Int_Tables_number 1
_symmetry_space_group_name_Hall 'P 1'
_cell_length_a 4.1670
_cell_length_b 7.9783
_cell_length_c 5.1181
_cell_angle_alpha 79.41
_cell_angle_beta 65.98
_cell_angle_gamma 74.86
loop_
_atom_site_label
_atom_site_type_symbol
_atom_site_fract_x
_atom_site_fract_y
_atom_site_fract_z
Li1 Li 0.2477 0.1250 0.3762
Li2 Li 0.2477 0.6250 0.8762
Li3 Li 0.4995 0.7486 0.2488
Li4 Li 0.4995 0.2486 0.7488
Mn1 Mn 0.9981 0.4986 0.5016
Mn2 Mn 0.7493 0.8748 0.6230
Mn3 Mn 0.9981 0.9986 0.0016
Mn4 Mn 0.7493 0.3748 0.1229
O1 O 0.2317 0.3825 0.1505
O2 O 0.2317 0.8825 0.6505
O3 O 0.7668 0.6148 0.8481
O4 O 0.7668 0.1148 0.3481
O5 O 0.5157 0.9909 0.9740
O6 O 0.5157 0.4909 0.4740
O7 O 0.9807 0.2586 0.7764
O8 O 0.9807 0.7586 0.2764

=====

Record 6
# LiVP3O9 PBE+U optimized geometry
# magnetization: 3.0 μB per formula unit
# E: -7.177 eV/atom
# MP2020-corrected energy: -7.7402 eV per atom
# distance to the lowest polymorph of the same formula: 0.37 eV/f.u.
# ΔE_f: -252.23 kJ/mol of atoms
data_LiVP3O9
_symmetry_space_group_name_H-M 'P 1'
_symmetry_Int_Tables_number 1
_symmetry_space_group_name_Hall 'P 1'
_cell_length_a 5.2287
_cell_length_b 12.2435
_cell_length_c 13.2026
_cell_angle_alpha 90.00
_cell_angle_beta 90.00
_cell_angle_gamma 90.00
loop_
_atom_site_label
_atom_site_type_symbol
_atom_site_fract_x
_atom_site_fract_y
_atom_site_fract_z
Li1 Li 0.0025 0.0118 0.2500
Li2 Li 0.0025 0.4882 0.7500
Li3 Li 0.9975 0.5118 0.2500
Li4 Li 0.9975 0.9882 0.7500
V1 V 0.0000 0.0000 0.0000
V2 V 0.0000 0.5000 0.0000
V3 V 0.0000 0.0000 0.5000
V4 V 0.0000 0.5000 0.5000
P1 P 0.2478 0.7500 0.0000
P2 P 0.2478 0.7500 0.5000
P3 P 0.5061 0.0873 0.6396
P4 P 0.5061 0.4127 0.1396
P5 P 0.5061 0.0873 0.8604
P6 P 0.5061 0.4127 0.3604
P7 P 0.4939 0.5873 0.6396
P8 P 0.4939 0.9127 0.3604
P9 P 0.4939 0.9127 0.1396
P10 P 0.4939 0.5873 0.8604
P11 P 0.7522 0.2500 0.0000
P12 P 0.7522 0.2500 0.5000
O1 O 0.1028 0.6614 0.0528
O2 O 0.1028 0.6614 0.4472
O3 O 0.1028 0.8386 0.5528
O4 O 0.1028 0.8386 0.9472
O5 O 0.2332 0.4507 0.1322
O6 O 0.2332 0.0493 0.6322
O7 O 0.2332 0.4507 0.3678
O8 O 0.2332 0.0493 0.8678
O9 O 0.2842 0.9956 0.1211
O10 O 0.2842 0.9956 0.3789
O11 O 0.2842 0.5044 0.8789
O12 O 0.2842 0.5044 0.6211
O13 O 0.4489 0.8613 0.2500
O14 O 0.4489 0.6387 0.7500
O15 O 0.4574 0.8039 0.0757
O16 O 0.4574 0.6961 0.5757
O17 O 0.4574 0.6961 0.9243
O18 O 0.4574 0.8039 0.4243
O19 O 0.5426 0.1961 0.5757
O20 O 0.5426 0.3039 0.0757
O21 O 0.5426 0.3039 0.4243
O22 O 0.5426 0.1961 0.9243
O23 O 0.5511 0.1387 0.7500
O24 O 0.5511 0.3613 0.2500
O25 O 0.7158 0.4956 0.3789
O26 O 0.7158 0.0044 0.6211
O27 O 0.7158 0.4956 0.1211
O28 O 0.7158 0.0044 0.8789
O29 O 0.7668 0.5493 0.8678
O30 O 0.7668 0.5493 0.6322
O31 O 0.7668 0.9507 0.3678
O32 O 0.7668 0.9507 0.1322
O33 O 0.8972 0.1614 0.4472
O34 O 0.8972 0.3386 0.5528
O35 O 0.8972 0.1614 0.0528
O36 O 0.8972 0.3386 0.9472

=====

The highest ΔE_f belongs to which entry?
Na4Ni2C4SO16